The following is a DFT calculation (PBE) of crystalline CaAl2Sn2 at its relaxed geometry.

Values from the calculation:
Space group ... P-3m1
Total moment ... 0.00 Bohr magnetons per cell
Calculated formation energy ... -20.4 kJ/mol of atoms

POSCAR file:
```
CaAl2Sn2
1.0
2.268 -3.929 0.000
2.268 3.929 0.000
0.000 0.000 7.549
Ca Al Sn
1 2 2
direct
0.000 0.000 0.000 Ca
0.667 0.333 0.371 Al
0.333 0.667 0.629 Al
0.667 0.333 0.745 Sn
0.333 0.667 0.255 Sn
```

***

The following is a DFT calculation (PBE) of crystalline K4MgTi2O6 at its relaxed geometry.

Values from the calculation:
Space group ... C2
Energy relative to the lowest polymorph listed for this composition ... 40 meV/atom
Total moment ... 0.00 Bohr magnetons per cell
Calculated formation energy ... -230.1 kJ/mol of atoms

POSCAR file:
```
K4MgTi2O6
1.0
-1.196 5.241 -1.781
-6.197 -1.496 2.844
4.458 1.700 5.096
K Mg Ti O
4 1 2 6
direct
0.164 0.521 0.941 K
0.289 0.870 0.512 K
0.711 0.488 0.130 K
0.836 0.059 0.479 K
0.500 0.436 0.564 Mg
0.728 0.931 0.931 Ti
0.272 0.069 0.069 Ti
0.646 0.732 0.676 O
0.354 0.324 0.268 O
0.500 0.104 0.896 O
0.000 0.883 0.117 O
0.000 0.108 0.892 O
0.500 0.883 0.117 O
```